Density functional theory data (PBE+U) for an optimized crystal structure of Li4MnV3P8O28.

Cell: 4.8727 8.2790 26.7146 Å, 90.00 91.29 90.00°
With the nearest neighbours (Å) after each atom.
Sites, in units of the cell vectors:
1 Li 0.1620 0.0000 0.1693  4 O 2.01-2.08
2 Li 0.1632 0.9997 0.6687  4 O 2.00-2.09
3 Li 0.3380 0.4998 0.0809  4 O 2.01-2.08
4 Li 0.3381 0.4999 0.5805  4 O 2.00-2.07
5 Li 0.6619 0.9999 0.4195  4 O 2.00-2.07
6 Li 0.6620 0.9998 0.9191  4 O 2.01-2.08
7 Li 0.8368 0.4997 0.3313  4 O 2.00-2.09
8 Li 0.8380 0.5000 0.8307  4 O 2.01-2.08
9 Mn 0.3507 0.1364 0.5674  6 O 1.96-2.14
10 Mn 0.6493 0.6364 0.4326  6 O 1.96-2.14
11 V 0.1483 0.6366 0.6821  6 O 1.99-2.08
12 V 0.1488 0.6370 0.1822  6 O 1.99-2.08
13 V 0.3513 0.1370 0.0678  6 O 1.99-2.08
14 V 0.6487 0.6370 0.9322  6 O 1.99-2.08
15 V 0.8512 0.1370 0.8178  6 O 1.99-2.08
16 V 0.8517 0.1366 0.3179  6 O 1.99-2.08
17 P 0.1392 0.8176 0.8695  4 O 1.53-1.61
18 P 0.1405 0.8159 0.3697  4 O 1.53-1.62
19 P 0.1678 0.4230 0.4779  4 O 1.52-1.63
20 P 0.1696 0.4211 0.9785  4 O 1.52-1.63
21 P 0.3302 0.9206 0.7714  4 O 1.52-1.63
22 P 0.3306 0.9214 0.2715  4 O 1.52-1.63
23 P 0.3611 0.3173 0.3798  4 O 1.52-1.63
24 P 0.3606 0.3175 0.8805  4 O 1.53-1.62
25 P 0.6389 0.8173 0.6202  4 O 1.52-1.63
26 P 0.6394 0.8175 0.1195  4 O 1.53-1.62
27 P 0.6694 0.4214 0.7285  4 O 1.52-1.63
28 P 0.6698 0.4206 0.2286  4 O 1.52-1.63
29 P 0.8304 0.9211 0.0215  4 O 1.52-1.63
30 P 0.8322 0.9230 0.5221  4 O 1.52-1.63
31 P 0.8595 0.3159 0.6303  4 O 1.53-1.62
32 P 0.8608 0.3176 0.1305  4 O 1.53-1.61
33 O 0.0034 0.4800 0.6265  1 P 1.53
34 O 0.0049 0.4810 0.1264  1 P 1.53
35 O 0.0540 0.1740 0.6204  1 P 1.54
36 O 0.0543 0.1753 0.1205  1 P 1.54
37 O 0.0918 0.3127 0.3486  1 P 1.54
38 O 0.0944 0.3153 0.8487  1 P 1.53
39 O 0.1246 0.9613 0.0371  1 P 1.52
40 O 0.1303 0.9632 0.5372  1 P 1.54
41 O 0.1433 0.0706 0.2706  1 P 1.54
42 O 0.1443 0.0708 0.7707  1 P 1.54
43 O 0.1819 0.3382 0.5283  1 P 1.52
44 O 0.1880 0.3335 0.0286  1 P 1.52
45 O 0.2193 0.7896 0.3117  2 P 1.62-1.63
46 O 0.2188 0.7898 0.8119  2 P 1.61-1.63
47 O 0.2802 0.2917 0.4379  2 P 1.63
48 O 0.2811 0.2900 0.9383  2 P 1.62-1.63
49 O 0.3113 0.8326 0.7216  1 P 1.52
50 O 0.3118 0.8336 0.2213  1 P 1.53
51 O 0.3562 0.5709 0.9793  1 P 1.54
52 O 0.3564 0.5727 0.4788  1 P 1.54
53 O 0.3754 0.4610 0.2127  1 P 1.52
54 O 0.3755 0.4616 0.7130  1 P 1.52
55 O 0.4056 0.8150 0.9014  1 P 1.54
56 O 0.4068 0.8144 0.4019  1 P 1.54
57 O 0.4457 0.6755 0.1294  1 P 1.53
58 O 0.4469 0.6734 0.6294  1 P 1.54
59 O 0.4950 0.9811 0.1235  1 P 1.53
60 O 0.4977 0.9796 0.6256  1 P 1.52
61 O 0.5023 0.4796 0.3744  1 P 1.52
62 O 0.5050 0.4811 0.8765  1 P 1.53
63 O 0.5531 0.1734 0.3706  1 P 1.54
64 O 0.5543 0.1755 0.8706  1 P 1.53
65 O 0.5932 0.3144 0.5981  1 P 1.54
66 O 0.5944 0.3150 0.0986  1 P 1.54
67 O 0.6246 0.9610 0.7873  1 P 1.52
68 O 0.6245 0.9616 0.2870  1 P 1.52
69 O 0.6438 0.0709 0.0207  1 P 1.54
70 O 0.6436 0.0727 0.5212  1 P 1.54
71 O 0.6882 0.3336 0.7787  1 P 1.53
72 O 0.6887 0.3326 0.2784  1 P 1.52
73 O 0.7189 0.7900 0.0617  2 P 1.62-1.63
74 O 0.7198 0.7917 0.5621  2 P 1.63
75 O 0.7812 0.2898 0.1881  2 P 1.61-1.63
76 O 0.7807 0.2896 0.6883  2 P 1.62-1.63
77 O 0.8120 0.8335 0.9714  1 P 1.52
78 O 0.8181 0.8382 0.4717  1 P 1.52
79 O 0.8557 0.5708 0.2293  1 P 1.54
80 O 0.8567 0.5706 0.7294  1 P 1.54
81 O 0.8697 0.4632 0.4628  1 P 1.54
82 O 0.8754 0.4613 0.9629  1 P 1.52
83 O 0.9056 0.8153 0.1513  1 P 1.53
84 O 0.9082 0.8127 0.6514  1 P 1.54
85 O 0.9460 0.6740 0.3796  1 P 1.54
86 O 0.9457 0.6753 0.8795  1 P 1.54
87 O 0.9951 0.9810 0.8736  1 P 1.53
88 O 0.9966 0.9800 0.3735  1 P 1.53

magnetization: 0.23 μB per atom
distance to the lowest polymorph of the same formula: 0.8 meV/atom
symmetry: P2_1, No. 4
crystal system: monoclinic

Density functional theory data (PBE+U) for an optimized crystal structure of Li3Mn2Si2O8.

Cell: 6.6331 4.9708 10.9035 Å, 90.00 91.70 90.00°
With the nearest neighbours (Å) after each atom.
Sites, in units of the cell vectors:
1 Li 0.0000 0.0423 0.0000  4 O 1.91-2.10
2 Li 0.0000 0.9577 0.5000  4 O 1.91-2.10
3 Li 0.2553 0.0460 0.7670  4 O 2.00-2.19
4 Li 0.2553 0.9540 0.2670  4 O 2.00-2.19
5 Li 0.4977 0.4504 0.1930  4 O 1.93-2.06
6 Li 0.4977 0.5496 0.6930  4 O 1.93-2.06
7 Mn 0.5192 0.0478 0.0056  4 O 1.99-2.06
8 Mn 0.5192 0.9522 0.5056  4 O 1.99-2.06
9 Mn 0.9939 0.4587 0.1791  4 O 1.91-2.07
10 Mn 0.9939 0.5413 0.6791  4 O 1.91-2.07
11 Si 0.2555 0.4451 0.4340  4 O 1.64-1.67
12 Si 0.2555 0.5549 0.9340  4 O 1.64-1.67
13 Si 0.7503 0.0639 0.7617  4 O 1.61-1.68
14 Si 0.7503 0.9361 0.2617  4 O 1.61-1.68
15 O 0.0620 0.4385 0.0084  1 Si 1.64
16 O 0.0620 0.5615 0.5084  1 Si 1.64
17 O 0.2444 0.4500 0.7886  1 Si 1.67
18 O 0.2444 0.5500 0.2886  1 Si 1.67
19 O 0.2536 0.1124 0.4353  1 Si 1.65
20 O 0.2536 0.8876 0.9353  1 Si 1.65
21 O 0.4594 0.4490 0.0075  1 Si 1.64
22 O 0.4594 0.5510 0.5075  1 Si 1.64
23 O 0.5368 0.0407 0.1946  1 Si 1.66
24 O 0.5368 0.9593 0.6946  1 Si 1.66
25 O 0.7535 0.3951 0.7448  1 Si 1.66
26 O 0.7535 0.6049 0.2448  1 Si 1.66
27 O 0.7590 0.0202 0.4047  1 Si 1.61
28 O 0.7590 0.9798 0.9047  1 Si 1.61
29 O 0.9549 0.0481 0.1901  1 Si 1.68
30 O 0.9549 0.9519 0.6901  1 Si 1.68

magnetization: 0.60 μB per atom
distance to the lowest polymorph of the same formula: 12.4 meV/atom
symmetry: Pc, No. 7
crystal system: monoclinic

Density functional theory data (PBE+U) for an optimized crystal structure of K2AgMoF6.

Cell: 6.3331 6.3331 6.3331 Å, 60.00 60.00 60.00°
With the nearest neighbours (Å) after each atom.
Sites, in units of the cell vectors:
1 K 0.2500 0.2500 0.2500  12 F 3.17
2 K 0.7500 0.7500 0.7500  12 F 3.17
3 Ag 0.0000 0.0000 0.0000  6 F 2.41
4 Mo 0.5000 0.5000 0.5000  6 F 2.07
5 F 0.2687 0.2687 0.7313  1 Mo 2.07
6 F 0.2687 0.7313 0.2687  1 Mo 2.07
7 F 0.2687 0.7313 0.7313  1 Mo 2.07
8 F 0.7313 0.2687 0.2687  1 Mo 2.07
9 F 0.7313 0.2687 0.7313  1 Mo 2.07
10 F 0.7313 0.7313 0.2687  1 Mo 2.07

magnetization: 0.30 μB per atom
symmetry: Fm-3m, No. 225
crystal system: cubic

Which energy of formation belongs to each record? In order, -2.6917 -2.5891 -2.5681 eV/atom.